Here is a geometry-optimized H14Pb6C8O13 structure from the Materials Project database. Energies are from PBE-GGA.

CIF file:
```
data_H14Pb6C8O13
_cell_length_a 7.358
_cell_length_b 11.885
_cell_length_c 13.899
_cell_angle_alpha 112.31
_cell_angle_beta 100.63
_cell_angle_gamma 90.46
_symmetry_space_group_name_H-M 'P -1'
_symmetry_Int_Tables_number 2
_symmetry_space_group_name_Hall '-P 1'
loop_
_atom_site_label
_atom_site_type_symbol
_atom_site_fract_x
_atom_site_fract_y
_atom_site_fract_z
H1 H 0.012 0.134 0.320
H2 H 0.070 0.293 0.366
H3 H 0.077 0.102 0.664
H4 H 0.115 0.230 0.632
H5 H 0.116 0.818 0.367
H6 H 0.130 0.617 0.486
H7 H 0.167 0.764 0.658
H8 H 0.216 0.449 0.658
H9 H 0.258 0.488 0.475
H10 H 0.351 0.070 0.488
H11 H 0.364 0.199 0.456
H12 H 0.368 0.619 0.470
H13 H 0.426 0.860 0.503
H14 H 0.434 0.459 0.663
Pb1 Pb 0.160 0.412 0.083
Pb2 Pb 0.165 0.909 0.086
Pb3 Pb 0.355 0.592 0.930
Pb4 Pb 0.360 0.090 0.919
Pb5 Pb 0.431 0.220 0.209
Pb6 Pb 0.450 0.722 0.220
C1 C 0.031 0.193 0.672
C2 C 0.036 0.781 0.686
C3 C 0.061 0.795 0.800
C4 C 0.063 0.274 0.789
C5 C 0.169 0.512 0.328
C6 C 0.235 0.564 0.447
C7 C 0.427 0.033 0.336
C8 C 0.431 0.115 0.451
O1 O 0.001 0.507 0.713
O2 O 0.074 0.690 0.166
O3 O 0.083 0.199 0.158
O4 O 0.224 0.806 0.855
O5 O 0.231 0.302 0.841
O6 O 0.262 0.999 0.277
O7 O 0.298 0.486 0.272
O8 O 0.321 0.403 0.633
O9 O 0.389 0.034 0.077
O10 O 0.391 0.284 0.075
O11 O 0.392 0.783 0.081
O12 O 0.395 0.537 0.083
O13 O 0.424 0.996 0.696
```

Values from the calculation:
Calculated total energy, hartree per atom: -0.216